Record 1
Density functional theory data (PBE) for a relaxed CaSnS3 crystal.

```
CaSnS3
1.0
-5.674 9.259 7.527
-10.404 1.799 -10.057
-8.072 -10.246 6.518
S Sn Ca
60 20 20
direct
0.386 0.719 0.083
0.622 0.572 0.943
0.636 0.917 0.719
0.306 0.244 0.409
0.794 0.107 0.782
0.294 0.893 0.218
0.845 0.611 0.797
0.604 0.211 0.596
0.104 0.789 0.404
0.324 0.614 0.327
0.315 0.283 0.884
0.974 0.941 0.125
0.360 0.149 0.638
0.092 0.698 0.114
0.560 0.354 0.410
0.137 0.088 0.861
0.556 0.591 0.244
0.600 0.996 0.506
0.724 0.125 0.059
0.886 0.281 0.917
0.224 0.875 0.941
0.065 0.884 0.717
0.815 0.717 0.116
0.474 0.059 0.875
0.044 0.218 0.107
0.860 0.851 0.362
0.854 0.404 0.211
0.136 0.083 0.281
0.350 0.506 0.004
0.077 0.558 0.323
0.354 0.596 0.789
0.595 0.797 0.389
0.872 0.057 0.572
0.810 0.590 0.354
0.095 0.203 0.611
0.342 0.886 0.698
0.592 0.302 0.886
0.637 0.912 0.139
0.574 0.673 0.614
0.842 0.114 0.302
0.577 0.442 0.677
0.827 0.323 0.442
0.100 0.004 0.494
0.610 0.362 0.149
0.074 0.327 0.386
0.310 0.410 0.646
0.345 0.389 0.203
0.544 0.782 0.893
0.056 0.409 0.756
0.327 0.677 0.558
0.887 0.861 0.912
0.824 0.386 0.673
0.372 0.943 0.428
0.060 0.646 0.590
0.110 0.638 0.851
0.806 0.756 0.591
0.565 0.116 0.283
0.122 0.428 0.057
0.387 0.139 0.088
0.850 0.494 0.996
0.193 0.642 0.439
0.006 0.564 0.730
0.727 0.196 0.908
0.943 0.439 0.358
0.506 0.436 0.270
0.563 0.073 0.124
0.951 0.371 0.063
0.313 0.124 0.927
0.201 0.937 0.371
0.256 0.270 0.564
0.451 0.629 0.937
0.813 0.876 0.073
0.227 0.804 0.092
0.701 0.063 0.629
0.756 0.730 0.436
0.977 0.092 0.196
0.443 0.561 0.642
0.063 0.927 0.876
0.693 0.358 0.561
0.477 0.908 0.804
0.203 0.462 0.877
0.489 0.837 0.555
0.209 0.730 0.713
0.944 0.660 0.966
0.695 0.732 0.753
0.953 0.877 0.538
0.703 0.538 0.123
0.453 0.123 0.462
0.739 0.445 0.837
0.959 0.713 0.270
0.195 0.268 0.247
0.194 0.034 0.660
0.445 0.753 0.268
0.694 0.966 0.340
0.239 0.555 0.163
0.709 0.270 0.287
0.459 0.287 0.730
0.444 0.340 0.034
0.989 0.163 0.445
0.945 0.247 0.732
```

Values from the calculation:
The space group is P4_1. The excess energy over the best structure of this formula in the dataset is 0.097 eV per atom. The calculation puts the energy of formation at -6.12 eV/f.u. Its spin magnetization is 0.00 μB/f.u.

---

Record 2
Density functional theory data (PBE) for a relaxed CaSnS3 crystal.

```
CaSnS3
1.0
-8.023 8.023 7.933
8.023 -8.023 7.933
8.023 8.023 -7.933
Ca S Sn
16 48 16
direct
0.244 0.244 0.000
0.888 0.507 0.132
0.006 0.506 0.500
0.125 0.375 0.250
0.244 0.112 0.619
0.493 0.625 0.381
0.375 0.756 0.868
0.125 0.875 0.750
0.125 0.875 0.250
0.756 0.756 0.000
0.006 0.638 0.881
0.625 0.875 0.750
0.875 0.994 0.632
0.494 0.994 0.500
0.757 0.125 0.119
0.362 0.243 0.368
0.592 0.250 0.543
0.941 0.646 0.660
0.264 0.469 0.160
0.991 0.833 0.024
0.580 0.454 0.416
0.354 0.014 0.295
0.896 0.736 0.205
0.951 0.408 0.657
0.809 0.967 0.976
0.441 0.783 0.524
0.543 0.701 0.043
0.217 0.741 0.658
0.229 0.842 0.940
0.902 0.289 0.060
0.309 0.104 0.840
0.546 0.962 0.126
0.986 0.281 0.340
0.658 0.500 0.957
0.167 0.191 0.158
0.806 0.962 0.224
0.750 0.293 0.343
0.021 0.908 0.560
0.083 0.559 0.342
0.348 0.461 0.440
0.719 0.059 0.705
0.414 0.330 0.626
0.670 0.296 0.084
0.158 0.098 0.386
0.418 0.194 0.156
0.738 0.582 0.776
0.500 0.457 0.157
0.038 0.262 0.844
0.259 0.917 0.476
0.092 0.652 0.114
0.444 0.788 0.276
0.531 0.691 0.795
0.038 0.164 0.584
0.836 0.420 0.874
0.212 0.586 0.916
0.832 0.556 0.344
0.299 0.342 0.843
0.212 0.488 0.656
0.711 0.771 0.614
0.707 0.049 0.457
0.539 0.979 0.886
0.512 0.168 0.724
0.033 0.009 0.842
0.704 0.788 0.374
0.384 0.497 0.633
0.500 0.500 0.000
0.625 0.875 0.250
0.625 0.375 0.250
0.866 0.253 0.867
0.000 0.000 0.000
0.625 0.375 0.750
0.125 0.375 0.750
0.750 0.250 0.500
0.747 0.614 0.613
0.250 0.750 0.500
0.249 0.616 0.113
0.386 0.999 0.133
0.503 0.136 0.887
0.864 0.751 0.367
0.001 0.134 0.387
```

Values from the calculation:
The space group is I4_1/a. The excess energy over the best structure of this formula in the dataset is 0.000 eV per atom. The calculation puts the energy of formation at -6.61 eV/f.u. Its spin magnetization is 0.00 μB/f.u.

---

Record 3
Density functional theory data (PBE) for a relaxed CaSnS3 crystal.

```
CaSnS3
1.0
-6.334 1.379 -0.151
4.697 -3.400 2.903
1.400 7.092 6.042
S Sn Ca
6 2 2
direct
0.358 0.642 0.047
0.358 0.642 0.453
0.642 0.358 0.547
0.642 0.358 0.953
0.080 0.920 0.250
0.920 0.080 0.750
0.000 0.000 0.500
0.000 0.000 0.000
0.745 0.255 0.250
0.255 0.745 0.750
```

Values from the calculation:
The space group is Cmcm. The excess energy over the best structure of this formula in the dataset is 0.022 eV per atom. The calculation puts the energy of formation at -6.50 eV/f.u. Its spin magnetization is 0.00 μB/f.u.

---

Record 4
Density functional theory data (PBE) for a relaxed CaSnS3 crystal.

```
CaSnS3
1.0
6.731 0.000 0.000
0.000 7.064 0.000
0.000 0.000 9.635
Ca S Sn
4 12 4
direct
0.531 0.088 0.750
0.031 0.412 0.250
0.469 0.912 0.250
0.969 0.588 0.750
0.686 0.809 0.565
0.867 0.048 0.250
0.133 0.952 0.750
0.686 0.809 0.935
0.367 0.452 0.750
0.186 0.691 0.065
0.814 0.309 0.565
0.314 0.191 0.065
0.186 0.691 0.435
0.314 0.191 0.435
0.633 0.548 0.250
0.814 0.309 0.935
0.000 0.000 0.000
0.500 0.500 0.000
0.000 0.000 0.500
0.500 0.500 0.500
```

Values from the calculation:
The space group is Pnma. The excess energy over the best structure of this formula in the dataset is 0.045 eV per atom. The calculation puts the energy of formation at -6.38 eV/f.u. Its spin magnetization is 0.00 μB/f.u.

---

Record 5
Density functional theory data (PBE) for a relaxed CaSnS3 crystal.

```
CaSnS3
1.0
11.726 0.000 0.000
-3.670 13.090 0.000
-0.635 -2.316 16.234
Ca S Sn
18 54 18
direct
0.531 0.121 0.959
0.367 0.380 0.063
0.611 0.611 0.959
0.193 0.549 0.244
0.805 0.934 0.059
0.927 0.649 0.573
0.526 0.046 0.622
0.475 0.922 0.358
0.434 0.824 0.061
0.102 0.942 0.678
0.726 0.894 0.751
0.106 0.372 0.446
0.103 0.872 0.414
0.970 0.187 0.616
0.185 0.051 0.944
0.912 0.119 0.337
0.284 0.112 0.247
0.739 0.440 0.734
0.616 0.009 0.061
0.420 0.499 0.226
0.380 0.583 0.994
0.275 0.755 0.354
0.536 0.845 0.503
0.921 0.327 0.754
0.371 0.231 0.909
0.898 0.121 0.166
0.794 0.810 0.891
0.139 0.436 0.066
0.061 0.120 0.760
0.987 0.520 0.450
0.356 0.939 0.947
0.469 0.300 0.392
0.255 0.906 0.123
0.426 0.206 0.118
0.154 0.218 0.344
0.660 0.088 0.318
0.863 0.817 0.643
0.625 0.734 0.836
0.070 0.034 0.536
0.999 0.158 0.975
0.148 0.685 0.951
0.804 0.538 0.910
0.563 0.002 0.802
0.205 0.797 0.553
0.239 0.180 0.098
0.850 0.731 0.432
0.309 0.540 0.424
0.626 0.232 0.755
0.886 0.251 0.478
0.923 0.980 0.452
0.706 0.950 0.309
0.979 0.836 0.040
0.083 0.523 0.566
0.439 0.651 0.650
0.721 0.493 0.574
0.957 0.610 0.743
0.724 0.059 0.871
0.786 0.294 0.034
0.993 0.384 0.246
0.756 0.032 0.631
0.321 0.094 0.672
0.618 0.472 0.074
0.059 0.966 0.277
0.405 0.965 0.203
0.232 0.304 0.572
0.006 0.661 0.231
0.330 0.038 0.434
0.083 0.871 0.830
0.629 0.256 0.632
0.372 0.737 0.254
0.478 0.433 0.753
0.633 0.754 0.105
0.818 0.587 0.315
0.465 0.463 0.596
0.976 0.288 0.105
0.351 0.697 0.531
0.505 0.495 0.379
0.059 0.823 0.176
0.845 0.496 0.062
0.923 0.184 0.838
0.763 0.877 0.532
0.418 0.247 0.768
0.692 0.164 0.168
0.183 0.504 0.923
0.264 0.794 0.834
0.094 0.490 0.733
0.956 0.705 0.888
0.623 0.612 0.191
0.769 0.380 0.447
0.292 0.206 0.456
```

Values from the calculation:
The space group is P1. The excess energy over the best structure of this formula in the dataset is 0.155 eV per atom. The calculation puts the energy of formation at -5.83 eV/f.u. Its spin magnetization is 0.00 μB/f.u.

---

Record 6
Density functional theory data (PBE) for a relaxed CaSnS3 crystal.

```
CaSnS3
1.0
-5.968 2.755 2.010
1.243 -6.673 1.084
4.911 2.685 10.899
S Ca Sn
12 4 4
direct
0.163 0.837 0.750
0.326 0.163 0.250
0.000 0.500 0.500
0.163 0.326 0.750
0.837 0.674 0.250
0.500 0.500 0.000
0.674 0.837 0.750
0.500 0.000 0.500
0.500 0.500 0.500
0.000 0.500 0.000
0.500 0.000 0.000
0.837 0.163 0.250
0.000 0.000 0.000
0.667 0.333 0.750
0.000 0.000 0.500
0.333 0.667 0.250
0.333 0.667 0.623
0.667 0.333 0.123
0.667 0.333 0.377
0.333 0.667 0.877
```

Values from the calculation:
The space group is P6_3/mmc. The excess energy over the best structure of this formula in the dataset is 0.386 eV per atom. The calculation puts the energy of formation at -4.67 eV/f.u. Its spin magnetization is 0.00 μB/f.u.

---

Record 7
Density functional theory data (PBE) for a relaxed CaSnS3 crystal.

```
CaSnS3
1.0
-4.379 -1.273 -1.035
1.201 -4.497 0.452
-1.469 0.207 5.961
Ca S Sn
1 3 1
direct
0.500 0.500 0.371
0.000 0.500 0.634
0.000 0.000 0.194
0.500 0.000 0.634
0.000 0.000 0.806
```

Values from the calculation:
The space group is P4mm. The excess energy over the best structure of this formula in the dataset is 0.158 eV per atom. The calculation puts the energy of formation at -5.82 eV/f.u. Its spin magnetization is 0.01 μB/f.u.

---

Record 8
Density functional theory data (PBE) for a relaxed CaSnS3 crystal.

```
CaSnS3
1.0
-0.439 3.722 2.970
-7.678 0.382 -1.613
-2.667 -8.784 10.613
Ca Sn S
4 4 12
direct
0.559 0.323 0.500
0.745 0.718 0.000
0.255 0.218 0.000
0.441 0.823 0.500
0.056 0.560 0.287
0.944 0.060 0.287
0.944 0.060 0.713
0.056 0.560 0.713
0.963 0.314 0.179
0.037 0.814 0.821
0.555 0.580 0.349
0.246 0.559 0.000
0.445 0.080 0.349
0.037 0.814 0.179
0.754 0.059 0.000
0.445 0.080 0.651
0.555 0.580 0.651
0.963 0.314 0.821
0.941 0.002 0.500
0.059 0.502 0.500
```

Values from the calculation:
The space group is Pmc2_1. The excess energy over the best structure of this formula in the dataset is 0.193 eV per atom. The calculation puts the energy of formation at -5.64 eV/f.u. Its spin magnetization is 0.00 μB/f.u.